The following is a DFT calculation (PBE) of an optimized crystal structure of Sm2U2Se3O4.

Lattice parameters (Å, degrees): 3.992 7.056 14.978 90.00 90.00 90.00
Fractional positions:
1 Sm 0.000 0.710 0.152
2 U 0.500 0.296 0.077
3 Sm 0.000 0.290 0.848
4 O 0.500 0.139 0.433
5 O 0.000 0.111 0.610
6 Sm 0.000 0.790 0.652
7 U 0.500 0.796 0.423
8 Se 0.000 0.500 0.500
9 U 0.500 0.204 0.577
10 O 0.000 0.389 0.110
11 O 0.500 0.361 0.933
12 Se 0.500 0.998 0.777
13 O 0.000 0.889 0.390
14 Se 0.500 0.498 0.723
15 O 0.500 0.639 0.067
16 Se 0.500 0.502 0.277
17 U 0.500 0.704 0.923
18 Se 0.500 0.002 0.223
19 Sm 0.000 0.210 0.348
20 O 0.000 0.611 0.890
21 Se 0.000 0.000 0.000
22 O 0.500 0.861 0.567

Energy of formation from the pure elements: -2.894 eV/atom
Calculated volume: 19.18 Å³ per atom
Total magnetization: 4.00 μB per formula unit

=====

The following is a DFT calculation (PBE) of an optimized crystal structure of BaO6.

Lattice parameters (Å, degrees): 6.317 6.317 6.527 88.90 88.90 104.78
Fractional positions:
1 O 0.787 0.598 0.070
2 O 0.927 0.770 0.134
3 O 0.402 0.213 0.430
4 O 0.230 0.073 0.366
5 O 0.770 0.927 0.634
6 O 0.073 0.230 0.866
7 O 0.905 0.475 0.555
8 O 0.213 0.402 0.930
9 O 0.598 0.787 0.570
10 Ba 0.182 0.818 0.750
11 O 0.095 0.525 0.445
12 O 0.475 0.905 0.055
13 O 0.525 0.095 0.945
14 Ba 0.818 0.182 0.250

Energy of formation from the pure elements: -0.875 eV/atom
Calculated volume: 17.98 Å³ per atom
Total magnetization: 3.86 μB per formula unit

=====

The following is a DFT calculation (PBE) of an optimized crystal structure of Mg4SiGe.

Lattice parameters (Å, degrees): 4.524 4.524 6.387 90.00 90.00 90.00
Fractional positions:
1 Mg 0.000 0.500 0.251
2 Ge 0.000 0.000 0.000
3 Mg 0.500 0.000 0.749
4 Mg 0.000 0.500 0.749
5 Si 0.500 0.500 0.500
6 Mg 0.500 0.000 0.251

Energy of formation from the pure elements: -0.216 eV/atom
Calculated volume: 21.79 Å³ per atom

=====

The following is a DFT calculation (PBE) of an optimized crystal structure of NaH3C4S4O12F12.

Lattice parameters (Å, degrees): 14.331 14.331 14.331 109.47 109.47 109.47
Fractional positions:
1 O 0.022 0.856 0.145
2 F 0.902 0.024 0.642
3 F 0.020 0.192 0.418
4 C 0.255 0.255 0.255
5 F 0.587 0.384 0.470
6 O 0.877 0.355 0.211
7 O 0.644 0.778 0.622
8 H 0.887 0.452 0.602
9 F 0.082 0.274 0.602
10 S 0.549 0.571 0.802
11 O 0.778 0.622 0.644
12 O 0.834 0.478 0.623
13 F 0.703 0.086 0.116
14 F 0.470 0.587 0.384
15 F 0.598 0.239 0.122
16 F 0.023 0.147 0.825
17 H 0.935 0.149 0.048
18 O 0.053 0.168 0.077
19 O 0.021 0.878 0.655
20 C 0.661 0.433 0.440
21 O 0.666 0.289 0.644
22 O 0.289 0.644 0.666
23 S 0.269 0.747 0.698
24 S 0.753 0.022 0.951
25 O 0.623 0.834 0.478
26 F 0.124 0.477 0.302
27 Na 0.500 0.000 0.726
28 O 0.905 0.782 0.937
29 C 0.493 0.221 0.060
30 F 0.477 0.302 0.124
31 H 0.898 0.351 0.286
32 F 0.378 0.618 0.476
33 O 0.591 0.976 0.423
34 F 0.476 0.378 0.618
35 O 0.655 0.021 0.878
36 F 0.898 0.171 0.480
37 C 0.000 0.245 0.500
38 O 0.532 0.877 0.595
39 O 0.878 0.655 0.021
40 O 0.355 0.211 0.877
41 O 0.909 0.332 0.385
42 S 0.951 0.753 0.022
43 S 0.747 0.698 0.269
44 F 0.239 0.122 0.598
45 Na 0.000 0.726 0.500
46 O 0.877 0.595 0.532
47 F 0.913 0.383 0.797
48 O 0.623 0.155 0.718
49 C 0.067 0.729 0.007
50 S 0.231 0.929 0.478
51 F 0.261 0.858 0.882
52 F 0.329 0.226 0.308
53 O 0.968 0.563 0.345
54 S 0.478 0.231 0.929
55 O 0.782 0.937 0.905
56 F 0.675 0.822 0.198
57 C 0.440 0.661 0.433
58 O 0.211 0.877 0.355
59 F 0.353 0.376 0.678
60 O 0.622 0.644 0.778
61 O 0.718 0.623 0.155
62 O 0.595 0.532 0.877
63 F 0.418 0.020 0.192
64 S 0.571 0.802 0.549
65 O 0.479 0.134 0.856
66 H 0.048 0.935 0.149
67 O 0.937 0.905 0.782
68 F 0.822 0.198 0.675
69 O 0.563 0.345 0.968
70 H 0.286 0.898 0.351
71 O 0.856 0.145 0.022
72 H 0.565 0.613 0.214
73 S 0.376 0.500 0.000
74 O 0.976 0.423 0.591
75 F 0.678 0.353 0.376
76 O 0.077 0.053 0.168
77 C 0.007 0.067 0.729
78 H 0.452 0.602 0.887
79 F 0.480 0.898 0.171
80 C 0.245 0.500 0.000
81 O 0.155 0.718 0.623
82 F 0.171 0.480 0.898
83 O 0.856 0.479 0.134
84 S 0.500 0.000 0.376
85 O 0.423 0.591 0.976
86 F 0.618 0.476 0.378
87 O 0.345 0.968 0.563
88 F 0.226 0.308 0.329
89 O 0.478 0.623 0.834
90 O 0.366 0.845 0.722
91 C 0.279 0.771 0.839
92 S 0.802 0.549 0.571
93 F 0.274 0.602 0.082
94 F 0.086 0.116 0.703
95 F 0.384 0.470 0.587
96 O 0.644 0.666 0.289
97 Na 0.774 0.774 0.774
98 F 0.383 0.797 0.913
99 S 0.022 0.951 0.753
100 F 0.030 0.414 0.117
101 F 0.122 0.598 0.239
102 F 0.302 0.124 0.477
103 O 0.115 0.447 0.524
104 O 0.168 0.077 0.053
105 O 0.447 0.524 0.115
106 F 0.825 0.023 0.147
107 F 0.198 0.675 0.822
108 S 0.000 0.376 0.500
109 H 0.613 0.214 0.565
110 F 0.116 0.703 0.086
111 F 0.602 0.082 0.274
112 F 0.642 0.902 0.024
113 O 0.134 0.856 0.479
114 O 0.385 0.909 0.332
115 H 0.214 0.565 0.613
116 S 0.929 0.478 0.231
117 O 0.845 0.722 0.366
118 C 0.221 0.060 0.493
119 S 0.698 0.269 0.747
120 F 0.414 0.117 0.030
121 O 0.332 0.385 0.909
122 F 0.376 0.678 0.353
123 F 0.308 0.329 0.226
124 S 0.124 0.124 0.124
125 Na 0.726 0.500 0.000
126 F 0.882 0.261 0.858
127 C 0.060 0.493 0.221
128 C 0.771 0.839 0.279
129 F 0.024 0.642 0.902
130 O 0.524 0.115 0.447
131 H 0.351 0.286 0.898
132 C 0.839 0.279 0.771
133 F 0.192 0.418 0.020
134 F 0.147 0.825 0.023
135 F 0.858 0.882 0.261
136 O 0.722 0.366 0.845
137 C 0.433 0.440 0.661
138 C 0.500 0.000 0.245
139 O 0.145 0.022 0.856
140 F 0.797 0.913 0.383
141 H 0.602 0.887 0.452
142 F 0.117 0.030 0.414
143 H 0.149 0.048 0.935
144 C 0.729 0.007 0.067

Energy of formation from the pure elements: -1.757 eV/atom
Calculated volume: 15.74 Å³ per atom
Total magnetization: 0.00 μB per formula unit

=====

calculated volume of number 2 (BaO6)? 17.98 Å³ per atom